Entry 1:
This record from Materials Project describes a relaxed structure of Sc. The functional is PBE-GGA.

Structure (extended XYZ):
```
6
Lattice="3.2339 0.0000 0.0000 -1.6170 2.8007 0.0000 0.0000 0.0000 16.3855" Properties=species:S:1:pos:R:3 pbc="T T T"
Sc -0.7602 1.3168 5.4618
Sc -0.8567 1.4839 13.6546
Sc 1.5205 0.0000 0.0000
Sc 0.7602 1.3168 2.7309
Sc 1.7135 0.0000 8.1928
Sc 0.8567 1.4839 10.9237
```

Values from the calculation:
polymorph energy (0 for the lowest one): 0.13 eV/f.u.
ΔE_f: 0.128 eV/atom
symmetry: P6_122

Entry 2:
This record from Materials Project describes a relaxed structure of Si3Se. The functional is PBE-GGA.

Structure (extended XYZ):
```
4
Lattice="0.0000 3.2059 3.2059 3.2059 0.0000 3.2059 3.2059 3.2059 0.0000" Properties=species:S:1:pos:R:3 pbc="T T T"
Si 0.0000 0.0000 0.0000
Si 1.6029 1.6029 1.6029
Si 4.8088 4.8088 4.8088
Se 3.2059 3.2059 3.2059
```

Values from the calculation:
ΔE_f: 0.498 eV/atom
symmetry: Fm-3m

Entry 3:
This record from Materials Project describes a relaxed structure of Lu2MgS4. The functional is PBE-GGA.

Structure (extended XYZ):
```
28
Lattice="12.4718 0.0000 0.0000 0.0000 3.7850 0.0000 0.0000 0.0000 13.1057" Properties=species:S:1:pos:R:3 pbc="T T T"
Lu 1.4243 0.9463 1.0154
Lu 1.7794 0.9463 9.2232
Lu 4.4565 2.8388 2.6704
Lu 4.8116 2.8388 7.5683
Lu 7.6602 0.9463 5.5374
Lu 8.0153 0.9463 10.4353
Lu 10.6924 2.8388 3.8825
Lu 11.0475 2.8388 12.0903
Mg 1.4628 2.8388 5.7657
Mg 4.7731 0.9463 12.3186
Mg 7.6987 2.8388 0.7871
Mg 11.0090 0.9463 7.3400
S 0.2018 2.8388 8.0613
S 0.3663 0.9463 11.5606
S 2.7631 0.9463 3.3241
S 3.0431 0.9463 6.7822
S 3.1928 2.8388 0.2293
S 3.4728 2.8388 9.8769
S 5.8696 2.8388 5.0078
S 6.0341 0.9463 1.5084
S 6.4377 2.8388 11.5973
S 6.6022 0.9463 8.0979
S 8.9991 0.9463 3.2288
S 9.2790 0.9463 12.8764
S 9.4287 2.8388 6.3235
S 9.7087 2.8388 9.7816
S 12.1055 2.8388 1.5451
S 12.2700 0.9463 5.0444
```

Values from the calculation:
polymorph energy (0 for the lowest one): 0.52 eV/f.u.
ΔE_f: -2.108 eV/atom
symmetry: Pnma

Entry 4:
This record from Materials Project describes a relaxed structure of SnPbO3. The functional is PBE-GGA.

Structure (extended XYZ):
```
20
Lattice="0.0000 5.3784 5.3784 5.3784 0.0000 5.3784 5.3784 5.3784 0.0000" Properties=species:S:1:pos:R:3 pbc="T T T"
Sn 0.0000 0.0000 0.0000
Sn 2.6892 2.6892 0.0000
Sn 2.6892 0.0000 2.6892
Sn 0.0000 2.6892 2.6892
Pb 5.3784 2.6892 2.6892
Pb 2.6892 5.3784 2.6892
Pb 2.6892 2.6892 5.3784
Pb 5.3784 5.3784 5.3784
O 4.0338 4.0338 0.8731
O 4.0338 0.8731 4.0338
O 7.1944 4.0338 4.0338
O 6.7230 6.7230 3.5623
O 6.7230 3.5623 6.7230
O 9.8836 6.7230 6.7230
O 0.8731 4.0338 4.0338
O 4.0338 7.1944 4.0338
O 4.0338 4.0338 7.1944
O 3.5623 6.7230 6.7230
O 6.7230 9.8836 6.7230
O 6.7230 6.7230 9.8836
```

Values from the calculation:
ΔE_f: -1.722 eV/atom
symmetry: Fd-3m

Entry 5:
This record from Materials Project describes a relaxed structure of GeS2. The functional is PBE-GGA.

Structure (extended XYZ):
```
48
Lattice="6.8561 0.0000 0.0000 0.0000 16.4273 0.0000 -0.2378 0.0000 12.5642" Properties=species:S:1:pos:R:3 pbc="T T T"
Ge 1.0502 2.5073 3.4889
Ge 0.9313 5.7064 9.7711
Ge 1.0654 8.2554 3.6372
Ge 0.9465 16.3856 9.9193
Ge 2.2517 11.3546 2.7874
Ge 2.1328 13.2864 9.0695
Ge 2.1388 2.5298 9.1014
Ge 2.2577 5.6839 2.8193
Ge 4.3607 10.7434 9.7450
Ge 4.4796 13.8976 3.4628
Ge 4.4855 3.1409 3.4947
Ge 4.3666 5.0727 9.7768
Ge 5.6718 0.0417 2.6449
Ge 5.5530 8.1720 8.9270
Ge 5.6870 10.7209 2.7932
Ge 5.5681 13.9201 9.0753
S 0.5540 10.9911 1.3658
S 0.4351 13.6499 7.6479
S 1.0235 0.4584 2.5695
S 0.9046 7.7552 8.8516
S 1.1018 4.0119 1.8345
S 0.9829 4.2018 8.1167
S 1.3449 1.8296 11.0956
S 1.4638 6.3841 4.8135
S 1.7586 0.6502 7.9310
S 1.8775 7.5635 1.6489
S 2.1910 9.9851 4.5577
S 2.0721 14.6559 10.8399
S 2.1563 11.1736 9.8227
S 2.2752 13.4674 3.5406
S 2.7664 2.7663 4.9078
S 2.6475 5.4473 11.1900
S 3.9708 10.9800 1.3743
S 3.8519 13.6610 7.6564
S 4.3432 2.9599 9.0236
S 4.4621 5.2537 2.7415
S 4.5462 1.7715 1.7244
S 4.4273 6.4422 8.0065
S 4.7409 8.8639 10.9154
S 4.8597 15.7771 4.6333
S 5.1545 10.0432 7.7507
S 5.2734 14.5978 1.4686
S 5.6354 12.2255 4.4476
S 5.5165 12.4155 10.7297
S 5.7137 8.6721 3.7126
S 5.5948 15.9689 9.9948
S 6.1832 2.7775 4.9164
S 6.0643 5.4362 11.1985
```

Values from the calculation:
ΔE_f: -0.664 eV/atom
symmetry: P2_1/c

Entry 6:
This record from Materials Project describes a relaxed structure of KZnCl3O2. The functional is PBE-GGA.

Structure (extended XYZ):
```
28
Lattice="6.4418 0.0000 0.0000 0.0000 10.6318 0.0000 -2.9722 0.0000 11.9904" Properties=species:S:1:pos:R:3 pbc="T T T"
K -0.3156 1.5679 4.4866
K -1.8017 3.7480 10.4818
K 5.2713 6.8838 1.5086
K 3.7852 9.0640 7.5038
Zn 1.0640 1.2321 8.0258
Zn 2.5501 4.0838 2.0306
Zn 0.9195 6.5480 9.9599
Zn 2.4056 9.3997 3.9647
Cl -1.0508 6.5743 8.9876
Cl 0.4353 9.3735 2.9924
Cl 1.2554 2.3549 1.6146
Cl -0.2307 2.9610 7.6099
Cl 1.8925 6.0043 1.0633
Cl 0.4064 9.9435 7.0585
Cl 3.0633 0.6884 4.9319
Cl 1.5772 4.6276 10.9272
Cl 3.7004 7.6709 4.3806
Cl 2.2143 8.2769 10.3758
Cl 3.0344 1.2583 8.9980
Cl 4.5205 4.0576 3.0028
O 0.9179 5.8330 4.7573
O -0.5682 10.1148 10.7525
O -0.3591 0.6350 10.3706
O 1.1270 4.6810 4.3754
O 2.3427 5.9509 7.6150
O 3.8288 9.9969 1.6198
O 4.0378 0.5171 1.2379
O 2.5518 4.7989 7.2331
```

Values from the calculation:
ΔE_f: -1.065 eV/atom
symmetry: P2_1/c

Entry 7:
This record from Materials Project describes a relaxed structure of SbAuO3. The functional is PBE-GGA.

Structure (extended XYZ):
```
5
Lattice="4.0024 0.0000 0.0000 0.0000 4.0024 0.0000 0.0000 0.0000 4.0024" Properties=species:S:1:pos:R:3 pbc="T T T"
Sb 0.0000 0.0000 0.0000
Au 2.0012 2.0012 2.0012
O 0.0000 0.0000 2.0012
O 0.0000 2.0012 0.0000
O 2.0012 0.0000 0.0000
```

Values from the calculation:
ΔE_f: -0.898 eV/atom
symmetry: Pm-3m

Entry 8:
This record from Materials Project describes a relaxed structure of LiNd6Cu2O12. The functional is PBE-GGA.

Structure (extended XYZ):
```
21
Lattice="8.3466 -2.8174 0.0000 8.3466 2.8174 0.0000 -2.6326 0.0000 6.2289" Properties=species:S:1:pos:R:3 pbc="T T T"
Li 0.0000 0.0000 0.0000
Nd 0.5251 0.0000 3.2954
Nd 3.2444 0.0000 0.8145
Nd 7.0232 0.0000 1.2507
Nd 7.0374 0.0000 4.9781
Nd 10.8162 0.0000 5.4143
Nd 13.5355 0.0000 2.9335
Cu 3.8024 0.0000 4.1296
Cu 10.2583 0.0000 2.0993
O 2.8570 1.4087 3.1144
O 5.1105 1.4054 1.0260
O 4.6944 1.3610 5.1155
O 7.0303 1.4023 3.1144
O 9.3663 1.3610 1.1133
O 8.9501 1.4054 5.2029
O 2.8570 -1.4087 3.1144
O 5.1105 -1.4054 1.0260
O 4.6944 -1.3610 5.1155
O 7.0303 -1.4023 3.1144
O 9.3663 -1.3610 1.1133
O 8.9501 -1.4054 5.2029
```

Values from the calculation:
ΔE_f: -3.054 eV/atom
symmetry: C2/m